Density functional theory data (GGA+U) for a geometry-optimized Sr9NdFe5Mo5O30 structure.

## Properties
Formation energy from the elements (eV per atom): -2.5543
Total energy (Ha/atom): -0.2534

abc: 5.6375 9.7978 12.7466
angles: 74.84 77.28 73.31
With the nearest neighbours (Å) after each atom.
Sites, in units of the cell vectors:
Sr  0.0000  0.0000  0.0000  8 O 2.65-2.83
Sr  0.0022  0.5001  0.5058  7 O 2.56-2.84
Sr  0.1957  0.9067  0.7065  7 O 2.59-2.83
Sr  0.2046  0.3994  0.2022  8 O 2.59-2.83
Sr  0.4008  0.8029  0.4049  8 O 2.60-2.84
Sr  0.4126  0.2837  0.9019  7 O 2.55-2.85
Sr  0.5981  0.7131  0.0992  7 O 2.63-2.82
Sr  0.7994  0.6098  0.7972  7 O 2.57-2.87
Sr  0.8025  0.0981  0.3031  8 O 2.61-2.84
Nd  0.6097  0.1800  0.6195  4 O 2.40-2.49
Fe  0.0023  0.2487  0.7531  6 O 1.99-2.09
Fe  0.4034  0.0521  0.1509  6 O 1.98-2.12
Fe  0.5996  0.4483  0.3540  6 O 1.98-2.08
Fe  0.6002  0.9521  0.8542  6 O 2.01-2.06
Fe  0.8027  0.8498  0.5554  6 O 1.98-2.13
Mo  0.2011  0.1528  0.4523  6 O 1.93-2.06
Mo  0.2037  0.6506  0.9510  6 O 1.99-2.10
Mo  0.4017  0.5488  0.6503  6 O 1.93-2.04
Mo  0.8038  0.3477  0.0539  6 O 1.95-2.04
Mo  0.9992  0.7511  0.2569  6 O 1.94-2.05
O  0.0528  0.4749  0.0112  2 Mo 2.03
O  0.0668  0.1768  0.1119  1 Mo 1.99, 1 Fe 2.03
O  0.0998  0.2026  0.6019  1 Mo 2.01, 1 Fe 2.02
O  0.1010  0.7014  0.1059  2 Mo 2.03-2.08
O  0.1357  0.7264  0.5950  1 Fe 2.01, 1 Mo 2.02
O  0.1478  0.4262  0.6941  1 Mo 2.02, 1 Fe 2.03
O  0.2341  0.8741  0.2157  1 Mo 1.94, 1 Fe 2.12
O  0.2744  0.5753  0.3148  1 Fe 1.98, 1 Mo 2.05
O  0.2962  0.1033  0.3025  1 Mo 2.01, 1 Fe 2.04
O  0.3119  0.5927  0.7968  2 Mo 1.95-2.10
O  0.3345  0.1258  0.7886  2 Fe 1.99-2.04
O  0.3597  0.8198  0.8932  1 Mo 1.99, 1 Fe 2.04
O  0.4548  0.9869  0.5105  1 Mo 1.93, 1 Fe 2.13
O  0.4630  0.2735  0.4191  1 Fe 1.99, 1 Mo 2.06
O  0.4955  0.0004  0.0043  2 Fe 1.98-2.01
O  0.5057  0.5016  0.5063  1 Mo 1.93, 1 Fe 2.06
O  0.5357  0.5248  0.9961  2 Mo 2.03-2.04
O  0.5561  0.2249  0.0966  1 Mo 2.00, 1 Fe 2.01
O  0.6489  0.6772  0.6095  1 Fe 2.01, 1 Mo 2.03
O  0.6662  0.3665  0.7040  1 Mo 2.04, 1 Fe 2.05
O  0.6952  0.9146  0.6969  2 Fe 1.98-2.06
O  0.7052  0.3991  0.2001  1 Mo 1.98, 1 Fe 2.06
O  0.7274  0.9205  0.1990  1 Mo 2.01, 1 Fe 2.03
O  0.7685  0.6227  0.2991  1 Mo 1.96, 1 Fe 2.08
O  0.8395  0.0830  0.8075  2 Fe 1.99-2.01
O  0.8759  0.7755  0.9072  1 Mo 2.01, 1 Fe 2.04
O  0.8962  0.3031  0.9080  1 Mo 1.95, 1 Fe 2.09
O  0.8966  0.8055  0.4046  1 Fe 2.01, 1 Mo 2.01
O  0.9377  0.0352  0.4979  1 Mo 2.03, 1 Fe 2.07
O  0.9474  0.3229  0.3931  1 Mo 1.96, 1 Fe 2.08

---

Density functional theory data (GGA+U) for a geometry-optimized Li3Ni2O2F3 structure.

## Properties
Formation energy from the elements (eV per atom): -2.3515
Total energy (Ha/atom): -0.1786

abc: 2.9404 10.5964 5.8807
angles: 97.98 90.00 82.02
With the nearest neighbours (Å) after each atom.
Sites, in units of the cell vectors:
Li  0.2000  0.6000  0.4000  6 F 1.99-2.08
Li  0.2000  0.6000  0.9000  6 F 1.99-2.08
Li  0.7988  0.4025  0.6006  5 F 2.05-2.08, 1 O 2.07
Li  0.7988  0.4025  0.1006  5 F 2.05-2.08, 1 O 2.07
Li  0.6012  0.7975  0.6994  5 F 2.05-2.08, 1 O 2.07
Li  0.6012  0.7975  0.1994  5 F 2.05-2.08, 1 O 2.07
Ni  0.9997  0.0006  0.5002  5 O 2.08-2.11, 1 F 2.17
Ni  0.4003  0.1994  0.7998  5 O 2.08-2.11, 1 F 2.17
Ni  0.9997  0.0006  0.0002  5 O 2.08-2.11, 1 F 2.17
Ni  0.4003  0.1994  0.2998  5 O 2.08-2.11, 1 F 2.17
O  0.5018  0.9965  0.7491  1 Li 2.07, 5 Ni 2.08-2.11
O  0.5018  0.9965  0.2491  1 Li 2.07, 5 Ni 2.08-2.11
O  0.8982  0.2035  0.5509  1 Li 2.07, 5 Ni 2.08-2.11
O  0.8982  0.2035  0.0509  1 Li 2.07, 5 Ni 2.08-2.11
F  0.7000  0.6000  0.6500  6 Li 2.05-2.08
F  0.7000  0.6000  0.1500  6 Li 2.05-2.08
F  0.2960  0.4080  0.3520  5 Li 1.99-2.08, 1 Ni 2.17
F  0.2960  0.4080  0.8520  5 Li 1.99-2.08, 1 Ni 2.17
F  0.1040  0.7920  0.4480  5 Li 1.99-2.08, 1 Ni 2.17
F  0.1040  0.7920  0.9480  5 Li 1.99-2.08, 1 Ni 2.17